No. 1
Compound: Li6V3P8O29
Source: Materials Project
Functional: PBE with a Hubbard U
Structure: optimized geometry

## Properties
The total magnetization is 3.0 μB/f.u. The calculation puts the excess energy over the best structure of this formula in the dataset at 8.8 meV per atom.

Cell lengths 9.768, 9.794, 13.981 Å; angles 89.79, 89.77, 60.30 degrees
Fractional coordinates of all 92 atoms:
P  0.665  0.664  0.869
O  0.079  0.254  0.340
O  0.379  0.532  0.830
V  0.561  0.438  0.749
O  0.001  0.224  0.930
V  0.995  0.567  0.753
O  0.992  0.802  0.259
O  0.673  0.511  0.825
O  0.225  0.001  0.067
Li  0.235  0.098  0.560
O  0.668  0.652  0.975
O  0.203  0.000  0.249
O  0.802  0.991  0.759
V  0.439  0.001  0.749
O  0.810  0.669  0.824
O  0.327  0.485  0.169
O  0.014  0.772  0.438
O  0.322  0.192  0.671
O  0.333  0.340  0.524
O  0.257  0.662  0.339
O  0.918  0.340  0.156
P  0.329  0.338  0.630
O  0.747  0.335  0.656
O  0.485  0.329  0.672
P  0.313  0.913  0.156
P  0.914  0.312  0.656
P  0.781  0.917  0.661
P  0.687  0.225  0.342
O  0.082  0.663  0.838
O  0.469  0.913  0.169
Li  0.765  0.330  0.940
V  0.004  0.438  0.249
O  0.789  0.013  0.579
O  0.533  0.088  0.832
Li  0.095  0.665  0.563
O  0.185  0.490  0.672
Li  0.963  0.987  0.493
P  0.338  0.329  0.130
P  0.223  0.689  0.841
O  0.377  0.094  0.329
P  0.917  0.780  0.161
O  0.206  0.800  0.750
O  0.257  0.080  0.840
O  0.002  0.225  0.567
O  0.531  0.381  0.329
O  0.798  0.207  0.250
O  0.777  0.223  0.431
Li  0.986  0.960  0.993
O  0.918  0.748  0.658
Li  0.663  0.238  0.559
Li  0.238  0.660  0.060
O  0.336  0.327  0.024
O  0.226  0.776  0.569
P  0.087  0.689  0.346
O  0.339  0.921  0.658
O  0.664  0.255  0.840
Li  0.332  0.902  0.939
O  0.221  0.777  0.931
P  0.314  0.776  0.658
O  0.913  0.468  0.669
O  0.513  0.811  0.830
P  0.088  0.225  0.840
O  0.002  0.202  0.749
Li  0.334  0.765  0.439
O  0.661  0.085  0.340
P  0.225  0.087  0.341
O  0.472  0.623  0.669
O  0.226  0.999  0.430
V  0.438  0.564  0.249
O  0.812  0.514  0.328
O  0.671  0.810  0.324
O  0.773  0.227  0.069
Li  0.664  0.095  0.063
O  0.095  0.377  0.829
Li  0.099  0.234  0.059
O  0.748  0.919  0.159
O  0.189  0.322  0.172
O  0.086  0.533  0.333
O  0.918  0.622  0.170
O  0.660  0.665  0.475
P  0.775  0.314  0.158
O  0.489  0.186  0.172
O  0.013  0.788  0.079
V  0.567  0.995  0.254
Li  0.901  0.335  0.439
O  0.620  0.921  0.670
O  0.336  0.746  0.157
P  0.665  0.666  0.369
P  0.689  0.087  0.847
O  0.773  0.011  0.939
O  0.620  0.472  0.170
O  0.510  0.677  0.327

No. 2
Compound: Li4FeW3O12
Source: Materials Project
Functional: PBE with a Hubbard U
Structure: optimized geometry

## Properties
The total magnetization is 4.0 μB/f.u.

Cell lengths 5.119, 10.195, 10.095 Å; angles 60.32, 90.66, 90.32 degrees
Fractional coordinates of all 40 atoms:
Li  0.000  0.839  0.831
W  0.499  0.934  0.533
O  0.355  0.751  0.753
O  0.845  0.266  0.498
O  0.185  0.580  0.059
Li  0.501  0.336  0.832
O  0.157  0.267  0.235
Li  0.500  0.194  0.653
Li  0.000  0.712  0.144
O  0.815  0.901  0.144
O  0.682  0.434  0.635
O  0.656  0.073  0.351
O  0.184  0.580  0.559
Li  0.000  0.841  0.330
O  0.356  0.751  0.253
O  0.188  0.900  0.955
Li  0.499  0.336  0.332
O  0.816  0.580  0.361
O  0.655  0.076  0.851
W  0.501  0.934  0.033
Fe  0.998  0.101  0.450
O  0.186  0.901  0.455
O  0.682  0.434  0.135
O  0.344  0.073  0.076
O  0.815  0.580  0.861
W  0.000  0.398  0.051
O  0.812  0.900  0.645
O  0.318  0.434  0.432
O  0.645  0.751  0.997
Li  0.500  0.193  0.153
O  0.318  0.434  0.931
Fe  0.002  0.101  0.949
W  0.000  0.398  0.551
O  0.155  0.266  0.736
Li  0.000  0.712  0.644
W  0.500  0.614  0.443
O  0.644  0.751  0.497
W  0.500  0.614  0.943
O  0.844  0.267  0.998
O  0.345  0.076  0.573

No. 3
Compound: MgNiAgO2
Source: Materials Project
Functional: PBE with a Hubbard U
Structure: optimized geometry

## Properties
The total magnetization is 2.0 μB/f.u. The calculation puts the excess energy over the best structure of this formula in the dataset at 49.8 meV per atom.

Cell lengths 8.332, 8.332, 8.325 Å; angles 21.37, 21.37, 21.33 degrees
Fractional coordinates of all 5 atoms:
Ag  0.027  0.027  0.023
O  0.116  0.116  0.117
Ni  0.480  0.480  0.484
O  0.890  0.890  0.884
Mg  0.591  0.591  0.586

No. 4
Compound: Fe5NiO8
Source: Materials Project
Functional: PBE with a Hubbard U
Structure: optimized geometry

## Properties
The total magnetization is 26.0 μB/f.u.

Cell lengths 6.034, 6.034, 6.034 Å; angles 59.96, 59.96, 59.96 degrees
Fractional coordinates of all 14 atoms:
Fe  0.876  0.876  0.876
O  0.255  0.255  0.730
Ni  0.500  0.500  0.500
Fe  0.124  0.124  0.124
O  0.256  0.256  0.256
Fe  0.500  0.500  0.000
O  0.744  0.744  0.744
Fe  0.000  0.500  0.500
O  0.745  0.270  0.745
O  0.255  0.730  0.255
O  0.745  0.745  0.270
O  0.270  0.745  0.745
Fe  0.500  0.000  0.500
O  0.730  0.255  0.255

No. 5
Compound: LiNiBO3
Source: Materials Project
Functional: PBE with a Hubbard U
Structure: optimized geometry

## Properties
The total magnetization is 0.0 μB/f.u. The calculation puts the excess energy over the best structure of this formula in the dataset at 50.8 meV per atom.

Cell lengths 5.697, 7.438, 5.825 Å; angles 90.01, 84.05, 89.98 degrees
Fractional coordinates of all 24 atoms:
B  0.628  0.154  0.091
O  0.082  0.391  0.826
Li  0.416  0.629  0.627
B  0.872  0.654  0.409
O  0.763  0.042  0.945
Ni  0.738  0.025  0.603
Li  0.084  0.128  0.872
O  0.551  0.323  0.027
O  0.950  0.822  0.474
B  0.128  0.346  0.591
Ni  0.762  0.525  0.897
Li  0.916  0.872  0.128
O  0.263  0.458  0.445
O  0.050  0.178  0.526
Ni  0.238  0.475  0.103
O  0.582  0.109  0.326
O  0.418  0.891  0.674
O  0.737  0.542  0.555
O  0.237  0.958  0.055
Ni  0.262  0.975  0.397
O  0.449  0.677  0.973
O  0.918  0.609  0.174
Li  0.584  0.371  0.373
B  0.372  0.846  0.909

No. 6
Compound: SrCaNbCrO6
Source: Materials Project
Functional: PBE with a Hubbard U
Structure: optimized geometry

## Properties
The total magnetization is 0.0 μB/f.u.

Cell lengths 5.580, 7.914, 5.629 Å; angles 90.00, 90.00, 90.04 degrees
Fractional coordinates of all 20 atoms:
O  0.720  0.030  0.220
O  0.921  0.750  0.988
Cr  0.500  0.000  0.501
O  0.220  0.530  0.280
O  0.421  0.250  0.512
Nb  0.500  0.500  0.501
O  0.793  0.040  0.710
Cr  0.000  0.500  0.998
Ca  0.993  0.252  0.461
Sr  0.504  0.250  0.976
O  0.293  0.540  0.790
O  0.557  0.749  0.480
O  0.790  0.461  0.708
O  0.721  0.468  0.221
Sr  0.004  0.750  0.524
O  0.057  0.249  0.020
Nb  0.000  0.000  0.999
O  0.221  0.968  0.279
Ca  0.493  0.752  0.039
O  0.290  0.961  0.792

No. 7
Compound: MgFe8O14F2
Source: Materials Project
Functional: PBE with a Hubbard U
Structure: optimized geometry

## Properties
The total magnetization is 36.0 μB/f.u. The calculation puts the excess energy over the best structure of this formula in the dataset at 68.6 meV per atom.

Cell lengths 5.173, 5.175, 11.605 Å; angles 90.65, 89.40, 102.09 degrees
Fractional coordinates of all 25 atoms:
O  0.310  0.305  0.753
Fe  0.409  0.576  0.385
Fe  0.419  0.579  0.119
O  0.181  0.813  0.128
O  0.865  0.125  0.139
Fe  0.581  0.394  0.633
O  0.173  0.820  0.873
O  0.687  0.678  0.749
F  0.832  0.158  0.872
O  0.185  0.817  0.375
Mg  0.699  0.294  0.256
O  0.342  0.310  0.501
F  0.707  0.686  0.500
O  0.275  0.341  0.993
O  0.685  0.673  0.254
Fe  0.006  0.990  0.998
Fe  0.031  0.964  0.251
Fe  0.003  0.984  0.749
O  0.656  0.719  0.993
O  0.833  0.170  0.622
O  0.166  0.856  0.614
O  0.873  0.138  0.373
Fe  0.029  0.022  0.503
Fe  0.426  0.570  0.868
O  0.322  0.311  0.250

No. 8
Compound: Sr4Mn2CuO9
Source: Materials Project
Functional: PBE with a Hubbard U
Structure: optimized geometry

Cell lengths 7.944, 9.706, 9.709 Å; angles 119.59, 89.98, 90.18 degrees
Fractional coordinates of all 48 atoms:
O  0.242  0.477  0.641
O  0.550  0.187  0.682
O  0.759  0.645  0.480
Mn  0.926  0.671  0.340
O  0.756  0.520  0.172
O  0.451  0.501  0.320
O  0.999  0.849  0.004
Mn  0.408  0.338  0.669
Sr  0.251  0.305  0.331
O  0.242  0.167  0.514
Sr  0.004  0.993  0.326
Sr  0.998  0.320  0.994
O  0.447  0.683  0.189
Mn  0.164  0.005  0.002
O  0.966  0.509  0.826
O  0.549  0.319  0.500
O  0.002  0.995  0.847
O  0.308  0.848  0.842
O  0.726  0.169  0.991
O  0.931  0.187  0.678
Cu  0.500  0.937  0.000
O  0.693  0.839  0.846
O  0.758  0.826  0.342
O  0.242  0.340  0.820
O  0.479  0.830  0.516
O  0.276  0.179  0.009
Sr  0.754  0.973  0.666
O  0.070  0.682  0.191
Mn  0.074  0.336  0.667
Sr  0.242  0.658  0.969
Sr  0.251  0.016  0.684
O  0.309  0.994  0.154
O  0.999  0.148  0.158
O  0.036  0.830  0.513
Cu  0.258  0.607  0.272
Mn  0.593  0.670  0.338
O  0.067  0.507  0.325
Sr  0.496  0.994  0.360
O  0.521  0.514  0.829
Sr  0.000  0.672  0.673
Sr  0.754  0.676  0.014
Sr  0.504  0.345  0.993
Mn  0.836  0.003  0.001
Sr  0.751  0.334  0.304
Sr  0.500  0.641  0.640
Cu  0.742  0.272  0.607
O  0.687  0.005  0.158
O  0.931  0.321  0.503

| no. | DFT total energy (eV/cell) |
| --- | --- |
| 1 | -645.108 |
| 2 | -269.557 |
| 3 | -22.029 |
| 4 | -89.796 |
| 5 | -150.409 |
| 6 | -156.064 |
| 7 | -153.058 |
| 8 | -312.429 |